(i)
DFT (PBE-GGA) results for Bi3Te2Cl10 after structural relaxation.

Cell lengths 7.4960, 8.9656, 14.2406 Å; angles 87.79, 83.16, 88.10 degrees
Last column: nearest neighbours and their distance in Å.
Atoms (fractional coordinates):
Bi1 0.4065 0.7331 0.9686  3 Cl 2.56-2.71
Cl1 0.0381 0.0876 0.3515  1 Bi 2.68
Cl2 0.8097 0.7962 0.2663  1 Bi 2.56
Cl3 0.9619 0.9124 0.6485  1 Bi 2.68
Cl4 0.1385 0.5395 0.3632  1 Bi 2.49
Cl5 0.7413 0.9674 0.0195  2 Bi 2.85-2.87
Cl6 0.5855 0.5437 0.1018  2 Bi 2.71-2.91
Cl7 0.3596 0.8814 0.1995  1 Bi 2.53
Cl8 0.9061 0.3237 0.9477  1 Bi 2.56
Te1 0.6782 0.1292 0.5354  2 Te 2.71-2.74
Cl9 0.6404 0.1186 0.8005  1 Bi 2.53
Cl10 0.8615 0.4605 0.6368  1 Bi 2.49
Cl11 0.7761 0.7124 0.8435  1 Bi 2.62
Cl12 0.7218 0.2157 0.1974  1 Bi 2.67
Te2 0.3218 0.8708 0.4646  2 Te 2.71-2.74
Bi2 0.9240 0.9744 0.8322  3 Cl 2.53-2.68
Cl13 0.2587 0.0326 0.9805  2 Bi 2.85-2.87
Cl14 0.3401 0.5327 0.5996  1 Bi 2.55
Te3 0.5985 0.8389 0.5738  2 Te 2.71-2.74
Bi3 0.5935 0.2669 0.0314  3 Cl 2.56-2.71
Bi4 0.1042 0.4817 0.7404  3 Cl 2.49-2.56
Cl15 0.2782 0.7843 0.8026  1 Bi 2.67
Cl16 0.4145 0.4563 0.8982  2 Bi 2.71-2.91
Cl17 0.0939 0.6763 0.0523  1 Bi 2.56
Bi5 0.0760 0.0256 0.1678  3 Cl 2.53-2.68
Cl18 0.2239 0.2876 0.1565  1 Bi 2.62
Te4 0.4015 0.1611 0.4262  2 Te 2.71-2.74
Cl19 0.6599 0.4673 0.4004  1 Bi 2.55
Bi6 0.8958 0.5183 0.2596  3 Cl 2.49-2.56
Cl20 0.1903 0.2038 0.7337  1 Bi 2.56


(ii)
DFT (PBE-GGA) results for Bi3Te2Cl10 after structural relaxation.

Cell lengths 7.0140, 9.9917, 15.2155 Å; angles 94.46, 94.85, 99.27 degrees
Last column: nearest neighbours and their distance in Å.
Atoms (fractional coordinates):
Cl1 0.2705 0.3068 0.0996  1 Bi 2.60
Cl2 0.0775 0.9188 0.1983  1 Bi 2.53
Bi1 0.0871 0.7047 0.9646  4 Cl 2.60-2.80
Bi2 0.4535 0.5365 0.7314  3 Cl 2.50-2.55
Cl3 0.1831 0.5167 0.6097  1 Bi 2.51
Bi3 0.5465 0.4635 0.2686  3 Cl 2.50-2.55
Cl4 0.5708 0.2621 0.8960  1 Bi 2.61
Cl5 0.6519 0.4009 0.6425  1 Bi 2.50
Cl6 0.2328 0.7482 0.8117  1 Bi 2.66
Cl7 0.4292 0.7379 0.1040  1 Bi 2.61
Bi4 0.9129 0.2953 0.0354  4 Cl 2.60-2.80
Cl8 0.2400 0.9835 0.9807  2 Bi 2.80-2.89
Cl9 0.3708 0.2399 0.3151  1 Bi 2.55
Cl10 0.5672 0.9402 0.3127  1 Bi 2.59
Te1 0.1719 0.9245 0.4223  2 Te 2.72-2.76
Te2 0.8281 0.0755 0.5777  2 Te 2.72-2.76
Cl11 0.8169 0.4833 0.3903  1 Bi 2.51
Cl12 0.7600 0.0165 0.0193  2 Bi 2.80-2.89
Cl13 0.6292 0.7601 0.6849  1 Bi 2.55
Cl14 0.9037 0.5512 0.0999  2 Bi 2.68-2.92
Cl15 0.0963 0.4488 0.9001  2 Bi 2.68-2.92
Cl16 0.7295 0.6932 0.9004  1 Bi 2.60
Cl17 0.9225 0.0812 0.8017  1 Bi 2.53
Te3 0.0672 0.1726 0.4539  2 Te 2.72-2.76
Bi5 0.4208 0.9902 0.1591  3 Cl 2.53-2.61
Cl18 0.4328 0.0598 0.6873  1 Bi 2.59
Te4 0.9328 0.8274 0.5461  2 Te 2.72-2.76
Cl19 0.3481 0.5991 0.3575  1 Bi 2.50
Cl20 0.7672 0.2518 0.1883  1 Bi 2.66
Bi6 0.5792 0.0098 0.8409  3 Cl 2.53-2.61


Which is most stable, and by how much? (i), by 33 meV per atom.


(i)
DFT (PBE-GGA) results for Mg6CoBi after structural relaxation.

Cell lengths 4.8501, 6.2996, 11.0628 Å; angles 90.00, 90.00, 90.00 degrees
Last column: nearest neighbours and their distance in Å.
Atoms (fractional coordinates):
Bi1 0.5000 0.0000 0.6711  10 Mg 3.02-3.35, 2 Co 3.24
Mg1 0.5000 0.0000 0.1698  10 Mg 3.02-3.23, 2 Bi 3.15
Mg2 0.5000 0.5000 0.6698  10 Mg 3.02-3.23, 2 Bi 3.15
Mg3 0.0000 0.5000 0.8324  10 Mg 3.02-3.24, 2 Co 3.17
Mg4 0.0000 0.2344 0.0716  1 Co 2.72, 5 Mg 2.95-3.04
Mg5 0.0000 0.7344 0.5716  1 Co 2.72, 5 Mg 2.95-3.04
Mg6 0.0000 0.2656 0.5716  1 Co 2.72, 5 Mg 2.95-3.04
Mg7 0.5000 0.7665 0.9094  2 Co 2.88, 6 Mg 2.94-3.14, 1 Bi 3.02
Mg8 0.5000 0.7335 0.4094  2 Co 2.88, 6 Mg 2.94-3.14, 1 Bi 3.02
Co1 0.0000 0.5000 0.3647  6 Mg 2.72-2.88
Mg9 0.5000 0.2335 0.9094  2 Co 2.88, 6 Mg 2.94-3.14, 1 Bi 3.02
Mg10 0.0000 0.7656 0.0716  1 Co 2.72, 5 Mg 2.95-3.04
Mg11 0.5000 0.2665 0.4094  2 Co 2.88, 6 Mg 2.94-3.14, 1 Bi 3.02
Co2 0.0000 0.0000 0.8647  6 Mg 2.72-2.88
Mg12 0.0000 0.0000 0.3324  10 Mg 3.02-3.24, 2 Co 3.17
Bi2 0.5000 0.5000 0.1711  10 Mg 3.02-3.35, 2 Co 3.24


(ii)
DFT (PBE-GGA) results for Mg6CoBi after structural relaxation.

Cell lengths 4.8661, 6.3828, 10.8645 Å; angles 90.00, 90.00, 90.00 degrees
Last column: nearest neighbours and their distance in Å.
Atoms (fractional coordinates):
Mg1 0.0000 0.2269 0.9142  5 Mg 2.90-3.06, 2 Co 2.96, 2 Bi 3.12
Mg2 0.0000 0.0000 0.6751  10 Mg 2.97-3.33, 2 Co 2.99
Mg3 0.0000 0.5000 0.6597  10 Mg 3.03-3.27, 2 Bi 3.08
Mg4 0.0000 0.7731 0.9142  5 Mg 2.90-3.06, 2 Co 2.96, 2 Bi 3.12
Mg5 0.5000 0.7529 0.5843  8 Mg 3.03-3.23, 2 Bi 3.15, 2 Co 3.15
Co1 0.5000 0.0000 0.8351  10 Mg 2.96-3.15, 2 Bi 3.19
Mg6 0.5000 0.7471 0.0843  8 Mg 3.03-3.23, 2 Bi 3.15, 2 Co 3.15
Mg7 0.0000 0.5000 0.1751  10 Mg 2.97-3.33, 2 Co 2.99
Bi1 0.5000 0.5000 0.8331  10 Mg 3.08-3.15, 2 Co 3.19
Bi2 0.5000 0.0000 0.3331  10 Mg 3.08-3.15, 2 Co 3.19
Mg8 0.0000 0.0000 0.1597  10 Mg 3.03-3.27, 2 Bi 3.08
Co2 0.5000 0.5000 0.3351  10 Mg 2.96-3.15, 2 Bi 3.19
Mg9 0.5000 0.2529 0.0843  8 Mg 3.03-3.23, 2 Bi 3.15, 2 Co 3.15
Mg10 0.0000 0.7269 0.4142  5 Mg 2.90-3.06, 2 Co 2.96, 2 Bi 3.12
Mg11 0.0000 0.2731 0.4142  5 Mg 2.90-3.06, 2 Co 2.96, 2 Bi 3.12
Mg12 0.5000 0.2471 0.5843  8 Mg 3.03-3.23, 2 Bi 3.15, 2 Co 3.15


Which is most stable, and by how much? (i), by 18 meV per atom.


(i)
DFT (PBE-GGA) results for Mg6CrBi after structural relaxation.

Cell lengths 5.2071, 6.3394, 11.0354 Å; angles 90.00, 90.00, 90.00 degrees
Last column: nearest neighbours and their distance in Å.
Atoms (fractional coordinates):
Mg1 0.0000 0.0000 0.8378  10 Mg 3.10-3.27, 2 Bi 3.21
Mg2 0.5000 0.2510 0.9163  8 Mg 3.16-3.19, 2 Bi 3.17-3.19, 2 Cr 3.17-3.19
Mg3 0.0000 0.0000 0.3304  10 Mg 3.13-3.24, 2 Cr 3.17
Cr1 0.5000 0.0000 0.1668  10 Mg 3.15-3.19, 2 Bi 3.17
Mg4 0.0000 0.7609 0.0824  8 Mg 3.03-3.31, 2 Cr 3.15, 2 Bi 3.22
Mg5 0.5000 0.2490 0.4163  8 Mg 3.16-3.19, 2 Bi 3.17-3.19, 2 Cr 3.17-3.19
Mg6 0.0000 0.5000 0.8304  10 Mg 3.13-3.24, 2 Cr 3.17
Bi1 0.5000 0.5000 0.1675  2 Cr 3.17, 10 Mg 3.17-3.22
Mg7 0.0000 0.2609 0.5824  8 Mg 3.03-3.31, 2 Cr 3.15, 2 Bi 3.22
Mg8 0.0000 0.7391 0.5824  8 Mg 3.03-3.31, 2 Cr 3.15, 2 Bi 3.22
Mg9 0.5000 0.7510 0.4163  8 Mg 3.16-3.19, 2 Bi 3.17-3.19, 2 Cr 3.17-3.19
Mg10 0.0000 0.5000 0.3378  10 Mg 3.10-3.27, 2 Bi 3.21
Mg11 0.5000 0.7490 0.9163  8 Mg 3.16-3.19, 2 Bi 3.17-3.19, 2 Cr 3.17-3.19
Bi2 0.5000 0.0000 0.6675  2 Cr 3.17, 10 Mg 3.17-3.22
Mg12 0.0000 0.2391 0.0824  8 Mg 3.03-3.31, 2 Cr 3.15, 2 Bi 3.22
Cr2 0.5000 0.5000 0.6668  10 Mg 3.15-3.19, 2 Bi 3.17


(ii)
DFT (PBE-GGA) results for Mg6CrBi after structural relaxation.

Cell lengths 5.1278, 6.4382, 11.0011 Å; angles 90.00, 90.00, 90.00 degrees
Last column: nearest neighbours and their distance in Å.
Atoms (fractional coordinates):
Mg1 0.5000 0.2464 0.9151  2 Bi 3.12-3.26, 2 Cr 3.14, 8 Mg 3.14-3.27
Mg2 0.5000 0.5000 0.6678  10 Mg 3.15-3.20, 2 Bi 3.22
Cr1 0.0000 0.0000 0.8369  10 Mg 3.09-3.29, 2 Bi 3.15
Mg3 0.0000 0.7600 0.0798  2 Cr 3.09-3.29, 8 Mg 3.09-3.35, 2 Bi 3.22
Bi1 0.5000 0.5000 0.1713  10 Mg 3.12-3.26, 2 Cr 3.15
Mg4 0.5000 0.7464 0.4151  2 Bi 3.12-3.26, 2 Cr 3.14, 8 Mg 3.14-3.27
Mg5 0.0000 0.2600 0.5798  2 Cr 3.09-3.29, 8 Mg 3.09-3.35, 2 Bi 3.22
Mg6 0.0000 0.5000 0.8342  10 Mg 3.15-3.20, 2 Cr 3.22
Mg7 0.5000 0.2536 0.4151  2 Bi 3.12-3.26, 2 Cr 3.14, 8 Mg 3.14-3.27
Bi2 0.5000 0.0000 0.6713  10 Mg 3.12-3.26, 2 Cr 3.15
Mg8 0.5000 0.0000 0.1678  10 Mg 3.15-3.20, 2 Bi 3.22
Mg9 0.0000 0.2400 0.0798  2 Cr 3.09-3.29, 8 Mg 3.09-3.35, 2 Bi 3.22
Mg10 0.5000 0.7536 0.9151  2 Bi 3.12-3.26, 2 Cr 3.14, 8 Mg 3.14-3.27
Mg11 0.0000 0.0000 0.3342  10 Mg 3.15-3.20, 2 Cr 3.22
Cr2 0.0000 0.5000 0.3369  10 Mg 3.09-3.29, 2 Bi 3.15
Mg12 0.0000 0.7400 0.5798  2 Cr 3.09-3.29, 8 Mg 3.09-3.35, 2 Bi 3.22


Which is most stable, and by how much? (i), by 5 meV per atom.


(i)
DFT (PBE-GGA) results for CsMg14Bi after structural relaxation.

Cell lengths 6.6822, 6.7807, 10.6692 Å; angles 90.00, 90.00, 120.49 degrees
Last column: nearest neighbours and their distance in Å.
Atoms (fractional coordinates):
Mg1 0.8262 0.6631 0.3707  11 Mg 3.28-3.40, 1 Bi 3.34
Mg2 0.3380 0.1592 0.3947  9 Mg 3.12-3.48, 1 Bi 3.42
Bi1 0.1868 0.8434 0.1250  10 Mg 3.21-3.47, 2 Cs 3.39
Mg3 0.6657 0.3252 0.1250  2 Bi 3.21-3.47, 8 Mg 3.28-3.49, 2 Cs 3.34-3.35
Mg4 0.3380 0.6788 0.3947  9 Mg 3.12-3.48, 1 Bi 3.42
Mg5 0.3380 0.6788 0.8553  9 Mg 3.12-3.48, 1 Bi 3.42
Mg6 0.8175 0.1588 0.3933  11 Mg 3.13-3.48
Mg7 0.8262 0.6631 0.8793  11 Mg 3.28-3.40, 1 Bi 3.34
Mg8 0.1662 0.3331 0.6250  12 Mg 3.18-3.39
Mg9 0.3380 0.1592 0.8553  9 Mg 3.12-3.48, 1 Bi 3.42
Cs1 0.1724 0.3362 0.1250  10 Mg 3.34-3.52, 2 Bi 3.39
Mg10 0.6719 0.8311 0.6250  12 Mg 3.12-3.46
Mg11 0.8175 0.1588 0.8567  11 Mg 3.13-3.48
Mg12 0.6719 0.3407 0.6250  12 Mg 3.12-3.46
Mg13 0.1598 0.8299 0.6250  12 Mg 3.12-3.42
Mg14 0.6657 0.8405 0.1250  2 Bi 3.21-3.47, 8 Mg 3.28-3.49, 2 Cs 3.34-3.35


(ii)
DFT (PBE-GGA) results for CsMg14Bi after structural relaxation.

Cell lengths 6.5822, 6.5822, 11.0824 Å; angles 90.00, 90.00, 120.00 degrees
Last column: nearest neighbours and their distance in Å.
Atoms (fractional coordinates):
Bi1 0.1667 0.3333 0.6250  12 Mg 3.29-3.30
Mg1 0.3397 0.6793 0.8642  10 Mg 3.17-3.43, 1 Bi 3.30, 1 Cs 3.50
Cs1 0.1667 0.3333 0.1250  12 Mg 3.29-3.50
Mg2 0.6692 0.8308 0.6250  10 Mg 3.24-3.39, 2 Bi 3.29
Mg3 0.1716 0.8358 0.1250  10 Mg 3.24-3.43, 2 Cs 3.29
Mg4 0.3397 0.6793 0.3858  10 Mg 3.17-3.43, 1 Bi 3.30, 1 Cs 3.50
Mg5 0.8333 0.6667 0.3696  12 Mg 3.30-3.39
Mg6 0.8333 0.6667 0.8804  12 Mg 3.30-3.39
Mg7 0.6642 0.8358 0.1250  10 Mg 3.24-3.43, 2 Cs 3.29
Mg8 0.1617 0.8308 0.6250  10 Mg 3.24-3.39, 2 Bi 3.29
Mg9 0.3397 0.1603 0.3858  10 Mg 3.17-3.43, 1 Bi 3.30, 1 Cs 3.50
Mg10 0.8207 0.1603 0.3858  10 Mg 3.17-3.43, 1 Bi 3.30, 1 Cs 3.50
Mg11 0.6642 0.3284 0.1250  10 Mg 3.24-3.43, 2 Cs 3.29
Mg12 0.6692 0.3383 0.6250  10 Mg 3.24-3.39, 2 Bi 3.29
Mg13 0.3397 0.1603 0.8642  10 Mg 3.17-3.43, 1 Bi 3.30, 1 Cs 3.50
Mg14 0.8207 0.1603 0.8642  10 Mg 3.17-3.43, 1 Bi 3.30, 1 Cs 3.50


Which is most stable, and by how much? (i), by 44 meV per atom.